Record 1
Below is crystalline NdReMoO8 at its relaxed geometry, with properties calculated at the GGA+U level.

Cell: 6.279 9.977 13.324 Å, 90.00 111.58 90.00°
Space group P2_1/c (No. 14)
Inequivalent atoms, fractional coordinates:
Nd (0.176, 0.238, 0.375) (multiplicity 4)
Re (0.376, 0.011, 0.155) (multiplicity 4)
Mo (0.158, 0.664, 0.920) (multiplicity 4)
O (0.039, 0.178, 0.512) (multiplicity 4)
O (0.076, 0.720, 0.309) (multiplicity 4)
O (0.156, 0.002, 0.369) (multiplicity 4)
O (0.161, 0.601, 0.653) (multiplicity 4)
O (0.303, 0.079, 0.025) (multiplicity 4)
O (0.361, 0.074, 0.809) (multiplicity 4)
O (0.401, 0.138, 0.249) (multiplicity 4)
O (0.440, 0.704, 0.013) (multiplicity 4)

Formation energy: -2.576 eV per atom
Total moment: 0.0 μB/f.u.
Crystal system: monoclinic

Record 2
Below is crystalline V5Zn4Te3O18 at its relaxed geometry, with properties calculated at the GGA+U level.

Cell: 14.966 9.146 10.765 Å, 90.00 95.04 90.00°
Space group C2/c (No. 15)
Inequivalent atoms, fractional coordinates:
V (0.000, 0.170, 0.250) (multiplicity 4)
V (0.149, 0.151, 0.768) (multiplicity 8)
V (0.162, 0.303, 0.051) (multiplicity 8)
Zn (0.033, 0.351, 0.535) (multiplicity 8)
Zn (0.205, 0.145, 0.429) (multiplicity 8)
Te (0.000, 0.000, 0.000) (multiplicity 4)
Te (0.158, 0.498, 0.301) (multiplicity 8)
O (0.070, 0.004, 0.179) (multiplicity 8)
O (0.071, 0.178, 0.427) (multiplicity 8)
O (0.085, 0.310, 0.184) (multiplicity 8)
O (0.085, 0.463, 0.964) (multiplicity 8)
O (0.088, 0.155, 0.935) (multiplicity 8)
O (0.097, 0.334, 0.700) (multiplicity 8)
O (0.227, 0.319, 0.882) (multiplicity 8)
O (0.237, 0.162, 0.616) (multiplicity 8)
O (0.247, 0.472, 0.154) (multiplicity 8)

Formation energy: -1.942 eV per atom
Total moment: 9.0 μB/f.u.
Crystal system: monoclinic

Record 3
Below is crystalline Li7Co5O12 at its relaxed geometry, with properties calculated at the GGA+U level.

Cell: 5.028 5.113 8.672 Å, 73.31 85.21 79.91°
Space group P-1 (No. 2)
Inequivalent atoms, fractional coordinates:
Li (0.000, 0.000, 0.000) (multiplicity 1)
Li (0.244, 0.411, 0.081) (multiplicity 2)
Li (0.249, 0.081, 0.416) (multiplicity 2)
Li (0.253, 0.749, 0.753) (multiplicity 2)
Co (0.000, 0.326, 0.677) (multiplicity 2)
Co (0.493, 0.839, 0.162) (multiplicity 2)
Co (0.500, 0.500, 0.500) (multiplicity 1)
O (0.132, 0.694, 0.533) (multiplicity 2)
O (0.145, 0.364, 0.863) (multiplicity 2)
O (0.154, 0.019, 0.208) (multiplicity 2)
O (0.379, 0.492, 0.282) (multiplicity 2)
O (0.381, 0.133, 0.639) (multiplicity 2)
O (0.397, 0.817, 0.966) (multiplicity 2)

Formation energy: -1.719 eV per atom
Total moment: 2.0 μB/f.u.
Crystal system: triclinic

Record 4
Below is crystalline Fe2Sb3PbO8 at its relaxed geometry, with properties calculated at the GGA+U level.

Cell: 6.170 12.253 12.250 Å, 90.00 90.00 90.00°
Space group Ama2 (No. 40)
Inequivalent atoms, fractional coordinates:
Fe (0.000, 0.000, 0.000) (multiplicity 4)
Fe (0.000, 0.000, 0.497) (multiplicity 4)
Sb (0.250, 0.078, 0.249) (multiplicity 4)
Sb (0.250, 0.247, 0.921) (multiplicity 4)
Sb (0.250, 0.421, 0.250) (multiplicity 4)
Pb (0.250, 0.249, 0.600) (multiplicity 4)
O (0.000, 0.000, 0.327) (multiplicity 4)
O (0.000, 0.000, 0.670) (multiplicity 4)
O (0.012, 0.174, 0.999) (multiplicity 8)
O (0.250, 0.021, 0.874) (multiplicity 4)
O (0.250, 0.101, 0.481) (multiplicity 4)
O (0.250, 0.385, 0.014) (multiplicity 4)
O (0.250, 0.478, 0.625) (multiplicity 4)

Formation energy: -1.680 eV per atom
Total moment: 9.0 μB/f.u.
Crystal system: orthorhombic